Nd5Bi3 (PBE, relaxed); raw total energy = -5.210 eV/atom; calculated formation energy = -0.771 eV/atom
1.0
0.000 0.000 -6.582
-4.773 -8.268 0.000
-4.766 8.263 0.000
Nd Bi
10 6
Direct
0.250 0.000 0.752
0.250 0.248 0.248
0.500 0.333 0.667
0.000 0.333 0.667
0.750 0.752 0.752
0.750 0.249 0.000
0.500 0.667 0.333
0.750 0.000 0.248
0.000 0.667 0.333
0.250 0.751 0.000
0.250 0.000 0.387
0.750 0.613 0.000
0.750 0.000 0.613
0.750 0.387 0.387
0.250 0.613 0.613
0.250 0.387 0.000

Nd4Bi3 (PBE, relaxed); raw total energy = -5.222 eV/atom; calculated formation energy = -0.830 eV/atom
1.0
-4.848 4.848 4.848
4.848 -4.848 4.848
4.848 4.848 -4.848
Nd Bi
8 6
Direct
0.500 0.000 0.143
0.000 0.643 0.500
0.857 0.857 0.857
0.000 0.143 0.500
0.357 0.357 0.357
0.500 0.000 0.643
0.143 0.500 0.000
0.643 0.500 0.000
0.125 0.875 0.250
0.750 0.375 0.625
0.875 0.250 0.125
0.250 0.125 0.875
0.375 0.625 0.750
0.625 0.750 0.375

Nd3Ni3Bi4 (PBE, relaxed); raw total energy = -5.302 eV/atom; calculated formation energy = -0.582 eV/atom
1.0
-4.922 4.922 4.922
4.922 -4.922 4.922
4.922 4.922 -4.922
Nd Ni Bi
6 6 8
Direct
0.375 0.625 0.750
0.750 0.375 0.625
0.625 0.750 0.375
0.125 0.875 0.250
0.875 0.250 0.125
0.250 0.125 0.875
0.750 0.875 0.125
0.875 0.125 0.750
0.125 0.750 0.875
0.375 0.250 0.625
0.625 0.375 0.250
0.250 0.625 0.375
0.654 0.500 0.000
0.346 0.346 0.346
0.000 0.654 0.500
0.846 0.846 0.846
0.154 0.500 0.000
0.500 0.000 0.654
0.500 0.000 0.154
0.000 0.154 0.500

NdNi2Bi2 (PBE, relaxed); raw total energy = -5.149 eV/atom; calculated formation energy = -0.327 eV/atom
1.0
-0.304 -2.445 -3.982
4.526 -1.147 0.359
-2.536 -8.339 5.313
Ni Bi Nd
4 4 2
Direct
0.500 0.000 0.376
0.000 0.000 0.000
0.500 0.500 0.000
0.000 0.500 0.624
0.000 0.000 0.500
0.500 0.500 0.500
0.500 0.000 0.125
0.000 0.500 0.875
0.000 0.500 0.233
0.500 0.000 0.767

NdBiRu2O7 (PBE, relaxed); raw total energy = -7.218 eV/atom; calculated formation energy = -2.034 eV/atom
1.0
-3.661 3.710 5.205
3.661 -3.710 5.205
3.661 3.710 -5.205
O Ru Bi Nd
14 4 2 2
Direct
0.919 0.074 0.246
0.626 0.376 0.250
0.673 0.923 0.750
0.919 0.673 0.845
0.328 0.673 0.254
0.374 0.624 0.750
0.672 0.926 0.345
0.921 0.671 0.250
0.672 0.327 0.746
0.081 0.926 0.754
0.081 0.327 0.155
0.327 0.077 0.250
0.328 0.074 0.655
0.079 0.329 0.750
0.500 0.000 0.500
0.000 0.500 0.000
0.000 0.000 0.500
0.000 0.000 0.000
0.500 0.000 0.000
0.500 0.500 0.500
0.500 0.500 0.000
0.000 0.500 0.500

Sr2NdBiO6 (PBE, relaxed); raw total energy = -6.411 eV/atom; calculated formation energy = -2.651 eV/atom
1.0
0.000 -4.385 -4.385
4.385 0.000 -4.385
4.385 -4.385 0.000
Nd O Sr Bi
1 6 2 1
Direct
0.500 0.500 0.500
0.760 0.240 0.760
0.240 0.760 0.240
0.760 0.760 0.240
0.760 0.240 0.240
0.240 0.240 0.760
0.240 0.760 0.760
0.750 0.750 0.750
0.250 0.250 0.250
0.000 0.000 0.000

Sr2NdBiO6 (PBE, relaxed); raw total energy = -6.503 eV/atom; calculated formation energy = -2.743 eV/atom
1.0
8.687 0.000 0.000
0.000 8.687 0.000
0.000 0.000 8.687
O Sr Bi Nd
24 8 4 4
Direct
0.011 0.288 0.799
0.788 0.299 0.489
0.011 0.712 0.201
0.989 0.712 0.799
0.511 0.788 0.701
0.701 0.511 0.788
0.201 0.011 0.712
0.799 0.989 0.712
0.288 0.799 0.011
0.288 0.201 0.989
0.489 0.788 0.299
0.712 0.799 0.989
0.212 0.701 0.489
0.489 0.212 0.701
0.212 0.299 0.511
0.299 0.511 0.212
0.799 0.011 0.288
0.989 0.288 0.201
0.788 0.701 0.511
0.701 0.489 0.212
0.712 0.201 0.011
0.511 0.212 0.299
0.299 0.489 0.788
0.201 0.989 0.288
0.000 0.000 0.000
0.500 0.500 0.000
0.500 0.500 0.500
0.000 0.500 0.500
0.000 0.000 0.500
0.500 0.000 0.000
0.000 0.500 0.000
0.500 0.000 0.500
0.750 0.750 0.750
0.750 0.250 0.250
0.250 0.750 0.250
0.250 0.250 0.750
0.250 0.250 0.250
0.750 0.250 0.750
0.250 0.750 0.750
0.750 0.750 0.250

Sr2NdBiO6 (PBE, relaxed); raw total energy = -6.546 eV/atom; calculated formation energy = -2.786 eV/atom
1.0
-0.033 5.451 -2.948
-5.544 -1.145 -2.054
-8.868 2.622 4.948
Sr O Bi Nd
4 12 2 2
Direct
0.547 0.237 0.749
0.953 0.237 0.249
0.453 0.763 0.251
0.047 0.763 0.751
0.456 0.658 0.737
0.044 0.658 0.237
0.284 0.870 0.940
0.694 0.767 0.447
0.306 0.233 0.553
0.956 0.342 0.763
0.784 0.130 0.560
0.544 0.342 0.263
0.806 0.767 0.947
0.194 0.233 0.053
0.216 0.870 0.440
0.716 0.130 0.060
0.500 0.000 0.500
0.000 0.000 0.000
0.000 0.500 0.500
0.500 0.500 0.000

Nd2Ti3Bi2O12 (PBE, relaxed); raw total energy = -8.009 eV/atom; calculated formation energy = -3.160 eV/atom
1.0
6.475 8.135 13.324
-7.723 -11.705 -9.433
4.784 -2.526 -0.783
Ti Nd O Bi
6 4 24 4
Direct
0.639 0.384 0.499
0.506 0.506 0.500
0.139 0.884 0.001
0.006 0.006 0.000
0.884 0.139 0.999
0.384 0.639 0.501
0.082 0.951 0.503
0.582 0.451 0.997
0.951 0.082 0.497
0.451 0.582 0.003
0.256 0.231 0.747
0.835 0.195 0.064
0.552 0.439 0.420
0.939 0.052 0.920
0.871 0.654 0.744
0.371 0.128 0.257
0.628 0.871 0.757
0.052 0.939 0.080
0.756 0.731 0.753
0.008 0.510 0.248
0.654 0.871 0.256
0.128 0.371 0.743
0.439 0.552 0.580
0.508 0.010 0.252
0.371 0.154 0.756
0.010 0.508 0.748
0.731 0.756 0.247
0.231 0.256 0.253
0.510 0.008 0.752
0.871 0.628 0.243
0.154 0.371 0.244
0.695 0.335 0.564
0.335 0.695 0.436
0.195 0.835 0.936
0.219 0.797 0.527
0.797 0.219 0.473
0.719 0.297 0.973
0.297 0.719 0.027

NdBiRh (PBE, relaxed); raw total energy = -6.057 eV/atom; calculated formation energy = -0.717 eV/atom
1.0
-2.216 3.796 2.071
4.081 4.676 -4.207
-5.577 -0.190 -5.620
Nd Rh Bi
4 4 4
Direct
0.250 0.984 0.703
0.750 0.516 0.203
0.750 0.016 0.297
0.250 0.484 0.797
0.750 0.800 0.928
0.250 0.700 0.428
0.250 0.200 0.072
0.750 0.300 0.572
0.250 0.810 0.092
0.250 0.310 0.408
0.750 0.690 0.592
0.750 0.190 0.908

Ni3Bi (PBE, relaxed); raw total energy = -5.144 eV/atom; calculated formation energy = 0.164 eV/atom
1.0
-2.133 -3.061 0.829
-0.516 -0.651 -3.731
3.129 -2.194 -0.050
Bi Ni
1 3
Direct
0.000 0.000 0.000
0.000 0.500 0.500
0.500 0.000 0.500
0.500 0.500 0.000

NiBi (PBE, relaxed); raw total energy = -4.551 eV/atom; calculated formation energy = 0.284 eV/atom
1.0
-2.719 0.925 -2.156
-0.669 -1.241 3.303
0.246 6.763 2.592
Bi Ni
2 2
Direct
0.000 0.000 0.000
0.000 0.000 0.500
0.333 0.667 0.250
0.667 0.333 0.750

Among the records above, which one has the lowest calculated formation energy? Nd2Ti3Bi2O12

Number 7 is which compound? Sr2NdBiO6

Which value of calculated formation energy does entry 1 give? -0.771 eV/atom